No. 1
A plane-wave DFT calculation with GGA-PBE was carried out for a relaxed NaLaYPS2O12 crystal.

Cell lengths 9.3026, 9.3024, 24.8075 Å; angles 89.98, 90.00, 120.06 degrees
Positions (direct):
O (0.9756, 0.7731, 0.7968)
O (0.9901, 0.8069, 0.0839)
O (0.8749, 0.3560, 0.9192)
O (0.1715, 0.9790, 0.9159)
O (0.9830, 0.1867, 0.5884)
O (0.3107, 0.4515, 0.4661)
O (0.3511, 0.8691, 0.5771)
O (0.4880, 0.1393, 0.9194)
O (0.8230, 0.8017, 0.5880)
O (0.4508, 0.1390, 0.5346)
O (0.3206, 0.8611, 0.9675)
O (0.0250, 0.2051, 0.9167)
O (0.1942, 0.2026, 0.6988)
O (0.2259, 0.2006, 0.7966)
O (0.2041, 0.0218, 0.5894)
O (0.6941, 0.5394, 0.2512)
O (0.8026, 0.0246, 0.7997)
O (0.8835, 0.3561, 0.6317)
O (0.1824, 0.1995, 0.4141)
O (0.1248, 0.4654, 0.8675)
O (0.4815, 0.3480, 0.4258)
O (0.8597, 0.3108, 0.5346)
O (0.6857, 0.5397, 0.5326)
O (0.1510, 0.4607, 0.2557)
O (0.1402, 0.6865, 0.4668)
O (0.4616, 0.3582, 0.1315)
O (0.5088, 0.6444, 0.5776)
O (0.5470, 0.8572, 0.4679)
O (0.4471, 0.3198, 0.0340)
O (0.3535, 0.4945, 0.0766)
O (0.2010, 0.0117, 0.3025)
O (0.1301, 0.4866, 0.5764)
O (0.9880, 0.1923, 0.3001)
O (0.7932, 0.8214, 0.9175)
O (0.6879, 0.1645, 0.7410)
O (0.5325, 0.8497, 0.7479)
O (0.0188, 0.8184, 0.4146)
O (0.1399, 0.4598, 0.9657)
O (0.4725, 0.1626, 0.2514)
O (0.0110, 0.2141, 0.2018)
O (0.8664, 0.5426, 0.0321)
O (0.8054, 0.7953, 0.3004)
O (0.8490, 0.3099, 0.2514)
O (0.1427, 0.6807, 0.7481)
O (0.4733, 0.1156, 0.6317)
O (0.0124, 0.8068, 0.6993)
O (0.1962, 0.1946, 0.0850)
O (0.8842, 0.5310, 0.1340)
O (0.5359, 0.8960, 0.3673)
O (0.8121, 0.0092, 0.0863)
O (0.8428, 0.5331, 0.7403)
O (0.1451, 0.6477, 0.0791)
O (0.6475, 0.5202, 0.9204)
O (0.4669, 0.3126, 0.7406)
O (0.6460, 0.5205, 0.6338)
O (0.5361, 0.6820, 0.2558)
O (0.5343, 0.6544, 0.8685)
O (0.5122, 0.8571, 0.0779)
O (0.6794, 0.1251, 0.0341)
O (0.3566, 0.4639, 0.3689)
O (0.2035, 0.9909, 0.2002)
O (0.8645, 0.5194, 0.4267)
O (0.5369, 0.6758, 0.9667)
O (0.3153, 0.8463, 0.2544)
O (0.3442, 0.8793, 0.8656)
O (0.8017, 0.9924, 0.6980)
O (0.8124, 0.9864, 0.4132)
O (0.6407, 0.1034, 0.1316)
O (0.3134, 0.4599, 0.7484)
O (0.6576, 0.1458, 0.4270)
O (0.1027, 0.6393, 0.3697)
O (0.7815, 0.7974, 0.2024)
P (0.9713, 0.6313, 0.0824)
P (0.7074, 0.0093, 0.7465)
P (0.6661, 0.6256, 0.5830)
P (0.6395, 0.9724, 0.4192)
P (0.3307, 0.9644, 0.9175)
P (0.2980, 0.0040, 0.2530)
S (0.3331, 0.3668, 0.4188)
S (0.9639, 0.3360, 0.5827)
S (0.3700, 0.0374, 0.5831)
S (0.3655, 0.3433, 0.0820)
S (0.2986, 0.2934, 0.7454)
S (0.0328, 0.6663, 0.4201)
S (0.9930, 0.6993, 0.7457)
S (0.7055, 0.7044, 0.2529)
S (0.6264, 0.6684, 0.9189)
S (0.6611, 0.0239, 0.0826)
S (0.0428, 0.3733, 0.9174)
S (0.0006, 0.2937, 0.2524)
Na (0.6535, 0.3111, 0.3337)
Na (0.6573, 0.3102, 0.8319)
Na (0.3535, 0.6727, 0.6658)
Na (0.9794, 0.9871, 0.4992)
Na (0.0078, 0.9864, 0.9994)
Na (0.3188, 0.6731, 0.1654)
Y (0.3512, 0.6741, 0.5177)
Y (0.6657, 0.3330, 0.6811)
Y (0.3244, 0.6736, 0.0166)
Y (0.9856, 0.9921, 0.6467)
Y (0.6668, 0.3341, 0.4846)
Y (0.0019, 0.0009, 0.3530)
La (0.6668, 0.3324, 0.9826)
La (0.3432, 0.6836, 0.8128)
La (0.6665, 0.3326, 0.1844)
La (0.3396, 0.6835, 0.3191)
La (0.0071, 0.9915, 0.1491)
La (0.9988, 0.0007, 0.8497)

## Properties
Volume ... 17.20 Å³ per atom
Energy relative to the elements ... -2811 meV/atom
Total DFT energy (no corrections) ... -7.118 eV per atom
Size of the total moment ... 0.0 μB/f.u.

***

No. 2
A plane-wave DFT calculation with GGA-PBE was carried out for a relaxed Na2LaYP2SO12 crystal.

Cell lengths 9.3936, 9.3969, 24.5035 Å; angles 90.57, 89.42, 119.67 degrees
Positions (direct):
O (0.8032, 0.9765, 0.4087)
O (0.1865, 0.1844, 0.0870)
O (0.8431, 0.3270, 0.2468)
O (0.2166, 0.0217, 0.3009)
O (0.2000, 0.0229, 0.5888)
O (0.1215, 0.4685, 0.5807)
O (0.8711, 0.5237, 0.1389)
O (0.9864, 0.8018, 0.0892)
O (0.1326, 0.4476, 0.9715)
O (0.8488, 0.5148, 0.4196)
O (0.6870, 0.5523, 0.5278)
O (0.6927, 0.5294, 0.2476)
O (0.7792, 0.8016, 0.2017)
O (0.6555, 0.1297, 0.1354)
O (0.8547, 0.5333, 0.7402)
O (0.5518, 0.6807, 0.9671)
O (0.3128, 0.8457, 0.2597)
O (0.3462, 0.4911, 0.0845)
O (0.8731, 0.3451, 0.6339)
O (0.8564, 0.3092, 0.5347)
O (0.3456, 0.8911, 0.8598)
O (0.8618, 0.3443, 0.9183)
O (0.5197, 0.8545, 0.7466)
O (0.2034, 0.9691, 0.2028)
O (0.5195, 0.8709, 0.3682)
O (0.0299, 0.1974, 0.9152)
O (0.3245, 0.8737, 0.9641)
O (0.9748, 0.7707, 0.7983)
O (0.4826, 0.1515, 0.9158)
O (0.1759, 0.9935, 0.9138)
O (0.0125, 0.8071, 0.6995)
O (0.8012, 0.8085, 0.9143)
O (0.4657, 0.1495, 0.5340)
O (0.4911, 0.3600, 0.4203)
O (0.9839, 0.1946, 0.2980)
O (0.3674, 0.8752, 0.5810)
O (0.1861, 0.1920, 0.7001)
O (0.0253, 0.2375, 0.1950)
O (0.1935, 0.1996, 0.4072)
O (0.6521, 0.1390, 0.4224)
O (0.1300, 0.6305, 0.0860)
O (0.1100, 0.6450, 0.3611)
O (0.5250, 0.6751, 0.2605)
O (0.4766, 0.1257, 0.6373)
O (0.7867, 0.9879, 0.6925)
O (0.4711, 0.3393, 0.1324)
O (0.5622, 0.8632, 0.4702)
O (0.5373, 0.6531, 0.8677)
O (0.3071, 0.4372, 0.4659)
O (0.8232, 0.0315, 0.0893)
O (0.3185, 0.4666, 0.7488)
O (0.6587, 0.5303, 0.6316)
O (0.8240, 0.8122, 0.5865)
O (0.8114, 0.7840, 0.3039)
O (0.9617, 0.1703, 0.5879)
O (0.6773, 0.1613, 0.7411)
O (0.7930, 0.0188, 0.7964)
O (0.6820, 0.1280, 0.0358)
O (0.4675, 0.1435, 0.2470)
O (0.0035, 0.8214, 0.4083)
O (0.5238, 0.8725, 0.0859)
O (0.8655, 0.5410, 0.0351)
O (0.3589, 0.4743, 0.3679)
O (0.6393, 0.5094, 0.9181)
O (0.1529, 0.6955, 0.7479)
O (0.4695, 0.3035, 0.7422)
O (0.1304, 0.4701, 0.8678)
O (0.1294, 0.6874, 0.4643)
O (0.5170, 0.6581, 0.5804)
O (0.1495, 0.4849, 0.2577)
O (0.2289, 0.1999, 0.8028)
O (0.4398, 0.3196, 0.0282)
Na (0.3496, 0.6558, 0.1676)
Na (0.0169, 0.9899, 0.5006)
Na (0.6602, 0.9582, 0.5866)
Na (0.7072, 0.6757, 0.4181)
Na (0.9921, 0.6260, 0.2539)
Na (0.3443, 0.6506, 0.6672)
Na (0.6829, 0.3225, 0.8337)
Na (0.3249, 0.2926, 0.9191)
Na (0.0417, 0.3396, 0.0873)
Na (0.6760, 0.3168, 0.3342)
Na (0.0113, 0.9843, 0.9998)
Na (0.3761, 0.0111, 0.7501)
P (0.0253, 0.6671, 0.4130)
P (0.6988, 0.6986, 0.2534)
P (0.9616, 0.6272, 0.0873)
P (0.3747, 0.0453, 0.5849)
P (0.3316, 0.9744, 0.9133)
P (0.2992, 0.2937, 0.7478)
P (0.0353, 0.3661, 0.9180)
P (0.6327, 0.9659, 0.4169)
P (0.6715, 0.6353, 0.5815)
P (0.0000, 0.3082, 0.2497)
P (0.3642, 0.3343, 0.0834)
P (0.6975, 0.0064, 0.7437)
S (0.3346, 0.3663, 0.4155)
S (0.6680, 0.0390, 0.0872)
S (0.3017, 0.9981, 0.2532)
S (0.9959, 0.7004, 0.7465)
S (0.6340, 0.6658, 0.9171)
S (0.9544, 0.3266, 0.5846)
Y (0.6612, 0.3414, 0.6815)
Y (0.3351, 0.6665, 0.3190)
Y (0.6590, 0.3401, 0.1852)
Y (0.0032, 0.0001, 0.6480)
Y (0.9928, 0.0062, 0.3480)
Y (0.6660, 0.3310, 0.4830)
La (0.6693, 0.3323, 0.9844)
La (0.9909, 0.0059, 0.8462)
La (0.0010, 0.9974, 0.1538)
La (0.3247, 0.6730, 0.5157)
La (0.3334, 0.6631, 0.8142)
La (0.3279, 0.6773, 0.0177)

## Properties
Volume ... 16.48 Å³ per atom
Energy relative to the elements ... -2944 meV/atom
Total DFT energy (no corrections) ... -7.162 eV per atom
Size of the total moment ... 0.0 μB/f.u.

***

No. 3
A plane-wave DFT calculation with GGA-PBE was carried out for a relaxed NaLa2Y2PS5O24 crystal.

Cell lengths 9.3925, 9.3947, 24.5908 Å; angles 90.00, 90.01, 119.87 degrees
Positions (direct):
O (0.5186, 0.8809, 0.3681)
O (0.3522, 0.4775, 0.0782)
O (0.6503, 0.5134, 0.9193)
O (0.8794, 0.3609, 0.6316)
O (0.0130, 0.8093, 0.6990)
O (0.2041, 0.1817, 0.0882)
O (0.0199, 0.2050, 0.9121)
O (0.1901, 0.2028, 0.6991)
O (0.6393, 0.5187, 0.6315)
O (0.6415, 0.1254, 0.4246)
O (0.3112, 0.8520, 0.2623)
O (0.1905, 0.2132, 0.4087)
O (0.8084, 0.0346, 0.7968)
O (0.7981, 0.9880, 0.6990)
O (0.9752, 0.1877, 0.5921)
O (0.5490, 0.8614, 0.7516)
O (0.1340, 0.4475, 0.9658)
O (0.5201, 0.6415, 0.5735)
O (0.3630, 0.4813, 0.3682)
O (0.0232, 0.8107, 0.4083)
O (0.1440, 0.6875, 0.4659)
O (0.8019, 0.8230, 0.9124)
O (0.8446, 0.5361, 0.7386)
O (0.3116, 0.8609, 0.9677)
O (0.8123, 0.7873, 0.5922)
O (0.5224, 0.8765, 0.0788)
O (0.5265, 0.6458, 0.8649)
O (0.7861, 0.9752, 0.4090)
O (0.8606, 0.5524, 0.0345)
O (0.4844, 0.3584, 0.4247)
O (0.1536, 0.4641, 0.2632)
O (0.8457, 0.3117, 0.2493)
O (0.1978, 0.9730, 0.2033)
O (0.2127, 0.0252, 0.5921)
O (0.0252, 0.2191, 0.2012)
O (0.8140, 0.7925, 0.3011)
O (0.4894, 0.1349, 0.9196)
O (0.4814, 0.1205, 0.6315)
O (0.5427, 0.8557, 0.4659)
O (0.4555, 0.1487, 0.5344)
O (0.5419, 0.6918, 0.2623)
O (0.6923, 0.1559, 0.7389)
O (0.8177, 0.0209, 0.0879)
O (0.6932, 0.5444, 0.5344)
O (0.4567, 0.1465, 0.2490)
O (0.7762, 0.8013, 0.2032)
O (0.2255, 0.1919, 0.7969)
O (0.4467, 0.3078, 0.0350)
O (0.4630, 0.3080, 0.7390)
O (0.1191, 0.6379, 0.3682)
O (0.9780, 0.1796, 0.3029)
O (0.9650, 0.7720, 0.7965)
O (0.5480, 0.6858, 0.9679)
O (0.3125, 0.4566, 0.4659)
O (0.1393, 0.6857, 0.7523)
O (0.8812, 0.5322, 0.1324)
O (0.3588, 0.8789, 0.5735)
O (0.1159, 0.4683, 0.8670)
O (0.6921, 0.1399, 0.0345)
O (0.8747, 0.5163, 0.4246)
O (0.3515, 0.8793, 0.8648)
O (0.9787, 0.7968, 0.0885)
O (0.8515, 0.3070, 0.5344)
O (0.1242, 0.6455, 0.0780)
O (0.1796, 0.9836, 0.9126)
O (0.2060, 0.0195, 0.3012)
O (0.6871, 0.5420, 0.2492)
O (0.3114, 0.4520, 0.7523)
O (0.1212, 0.4798, 0.5735)
O (0.6508, 0.1192, 0.1324)
O (0.8720, 0.3532, 0.9202)
O (0.4687, 0.3492, 0.1329)
Y (0.3272, 0.6602, 0.3118)
Y (0.0005, 0.0004, 0.6457)
Y (0.6660, 0.3333, 0.6834)
Y (0.3331, 0.6671, 0.5204)
Y (0.9982, 0.0063, 0.3539)
Y (0.6672, 0.3334, 0.4824)
Na (0.6600, 0.3322, 0.8373)
Na (0.6720, 0.3324, 0.3313)
Na (0.9992, 0.9933, 0.9974)
La (0.0016, 0.0074, 0.1517)
La (0.6740, 0.3338, 0.1865)
La (0.3387, 0.6733, 0.0177)
La (0.3413, 0.6732, 0.8141)
La (0.9996, 0.9928, 0.8530)
La (0.6599, 0.3336, 0.9794)
S (0.7052, 0.7084, 0.2539)
S (0.7116, 0.0075, 0.7469)
S (0.9622, 0.6314, 0.0829)
S (0.6666, 0.6241, 0.5831)
S (0.6216, 0.9570, 0.4166)
S (0.9575, 0.3336, 0.5831)
S (0.3762, 0.0428, 0.5831)
S (0.0372, 0.3704, 0.9162)
S (0.2917, 0.9971, 0.2539)
S (0.3694, 0.3316, 0.0838)
S (0.0422, 0.6656, 0.4166)
S (0.6693, 0.0390, 0.0829)
S (0.9938, 0.7026, 0.7466)
S (0.2955, 0.2898, 0.7471)
S (0.3356, 0.3776, 0.4167)
P (0.0016, 0.2940, 0.2540)
P (0.3336, 0.9633, 0.9162)
P (0.6301, 0.6671, 0.9162)

## Properties
Volume ... 17.92 Å³ per atom
Energy relative to the elements ... -2723 meV/atom
Total DFT energy (no corrections) ... -7.080 eV per atom
Size of the total moment ... 0.0 μB/f.u.

***

No. 4
A plane-wave DFT calculation with GGA-PBE was carried out for a relaxed Na5La2Y2P5SO24 crystal.

Cell lengths 9.4073, 9.4354, 24.4532 Å; angles 90.33, 89.96, 119.89 degrees
Positions (direct):
P (0.3284, 0.9605, 0.9193)
P (0.6348, 0.9649, 0.4129)
P (0.3593, 0.3283, 0.0868)
P (0.9964, 0.2939, 0.2483)
P (0.0352, 0.3736, 0.9197)
P (0.3004, 0.3007, 0.7507)
P (0.6655, 0.0340, 0.0886)
P (0.0034, 0.6964, 0.7517)
P (0.9618, 0.3338, 0.5829)
P (0.9733, 0.6380, 0.0826)
P (0.6952, 0.0046, 0.7472)
P (0.3691, 0.0321, 0.5816)
P (0.0242, 0.6680, 0.4158)
P (0.6688, 0.6367, 0.5771)
P (0.6988, 0.7045, 0.2527)
O (0.9752, 0.1808, 0.2972)
O (0.8027, 0.8149, 0.9198)
O (0.1148, 0.6888, 0.4709)
O (0.6540, 0.5423, 0.6299)
O (0.3563, 0.4748, 0.3669)
O (0.8800, 0.5202, 0.1305)
O (0.5235, 0.8711, 0.3633)
O (0.7739, 0.9891, 0.6935)
O (0.6599, 0.5219, 0.9227)
O (0.4685, 0.1459, 0.2445)
O (0.9906, 0.7843, 0.8033)
O (0.1866, 0.1725, 0.0942)
O (0.1467, 0.4669, 0.2567)
O (0.0075, 0.8150, 0.0933)
O (0.4686, 0.1420, 0.5334)
O (0.3246, 0.8565, 0.9693)
O (0.0030, 0.8199, 0.4073)
O (0.4325, 0.2976, 0.0347)
O (0.2136, 0.1967, 0.8013)
O (0.0187, 0.2162, 0.1951)
O (0.1601, 0.9561, 0.9194)
O (0.2159, 0.0187, 0.2971)
O (0.8053, 0.9764, 0.4063)
O (0.1173, 0.4651, 0.8657)
O (0.8320, 0.8054, 0.5796)
O (0.8034, 0.0185, 0.7967)
O (0.8487, 0.3210, 0.5347)
O (0.1911, 0.0020, 0.5811)
O (0.5619, 0.8632, 0.4661)
O (0.0170, 0.7955, 0.6994)
O (0.3072, 0.4303, 0.4646)
O (0.6820, 0.1630, 0.7473)
O (0.4727, 0.3521, 0.1359)
O (0.8469, 0.5157, 0.4186)
O (0.8899, 0.3520, 0.6378)
O (0.2041, 0.9801, 0.1985)
O (0.1306, 0.4916, 0.5770)
O (0.1978, 0.2180, 0.6988)
O (0.7882, 0.8168, 0.2032)
O (0.8776, 0.5698, 0.0288)
O (0.0119, 0.1998, 0.9199)
O (0.4920, 0.3604, 0.4180)
O (0.6786, 0.5327, 0.2446)
O (0.4683, 0.3091, 0.7486)
O (0.9681, 0.1725, 0.5824)
O (0.3313, 0.4774, 0.0808)
O (0.5451, 0.6753, 0.9676)
O (0.1947, 0.1988, 0.4048)
O (0.5303, 0.6999, 0.2577)
O (0.6783, 0.5425, 0.5263)
O (0.8695, 0.3732, 0.9222)
O (0.6389, 0.1188, 0.1392)
O (0.6527, 0.1368, 0.4188)
O (0.1419, 0.4697, 0.9699)
O (0.8575, 0.5187, 0.7494)
O (0.4581, 0.1055, 0.6366)
O (0.5180, 0.8569, 0.7511)
O (0.3412, 0.8813, 0.8649)
O (0.8017, 0.7840, 0.3050)
O (0.3572, 0.8610, 0.5769)
O (0.5497, 0.6535, 0.8685)
O (0.3211, 0.8535, 0.2553)
O (0.8320, 0.2985, 0.2439)
O (0.4762, 0.1350, 0.9215)
O (0.8215, 0.0185, 0.0948)
O (0.5062, 0.8664, 0.0799)
O (0.1223, 0.6477, 0.3685)
O (0.6988, 0.1420, 0.0375)
O (0.3103, 0.4694, 0.7536)
O (0.5239, 0.6711, 0.5756)
O (0.1640, 0.6850, 0.7531)
O (0.1456, 0.6488, 0.0789)
Y (0.6749, 0.3532, 0.1830)
Y (0.3382, 0.6661, 0.0188)
Y (0.3185, 0.6595, 0.3165)
Y (0.6678, 0.3233, 0.4811)
Y (0.9892, 0.9924, 0.1531)
Y (0.9965, 0.9997, 0.3471)
La (0.3422, 0.6688, 0.8194)
La (0.6628, 0.3457, 0.6798)
La (0.6585, 0.3218, 0.9876)
La (0.0035, 0.0022, 0.6499)
La (0.3282, 0.6650, 0.5102)
La (0.0009, 0.0110, 0.8518)
Na (0.6496, 0.0016, 0.2506)
Na (0.0179, 0.0145, 0.5002)
Na (0.0281, 0.6973, 0.5804)
Na (0.3372, 0.6439, 0.1670)
Na (0.6648, 0.9698, 0.5830)
Na (0.7095, 0.6762, 0.4170)
Na (0.6550, 0.3218, 0.8331)
Na (0.3036, 0.9739, 0.0821)
Na (0.9954, 0.3604, 0.7497)
Na (0.3638, 0.0004, 0.7508)
Na (0.6902, 0.3426, 0.3337)
Na (0.9998, 0.0104, 0.9997)
Na (0.9809, 0.6649, 0.9180)
Na (0.3464, 0.6537, 0.6667)
Na (0.0285, 0.3324, 0.0854)
S (0.6379, 0.6663, 0.9203)
S (0.3352, 0.3642, 0.4133)
S (0.3009, 0.0009, 0.2492)

## Properties
Volume ... 16.08 Å³ per atom
Energy relative to the elements ... -3006 meV/atom
Total DFT energy (no corrections) ... -7.182 eV per atom
Size of the total moment ... 0.0 μB/f.u.